(i)
Below is crystalline LiMnBO3 at its relaxed geometry, with properties calculated at the PBE+U level.

Cell: 5.5993 7.6994 7.5043 Å, 90.00 116.89 90.00°
With the nearest neighbours (Å) after each atom.
Fractional positions:
Li 0.1450 0.0616 0.4084  4 O 1.96-2.16
Li 0.1450 0.4384 0.9084  4 O 1.96-2.16
Li 0.8550 0.5616 0.0916  4 O 1.96-2.16
Li 0.8550 0.9384 0.5916  4 O 1.96-2.16
Mn 0.4005 0.7494 0.2572  4 O 2.03-2.15
Mn 0.4005 0.7506 0.7572  4 O 2.03-2.15
Mn 0.5995 0.2494 0.2428  4 O 2.03-2.15
Mn 0.5995 0.2506 0.7428  4 O 2.03-2.15
B 0.1973 0.1277 0.8058  3 O 1.36-1.40
B 0.1973 0.3723 0.3058  3 O 1.36-1.40
B 0.8027 0.6277 0.6942  3 O 1.36-1.40
B 0.8027 0.8723 0.1942  3 O 1.36-1.40
O 0.0566 0.6280 0.7138  1 B 1.36
O 0.0566 0.8720 0.2138  1 B 1.36
O 0.2688 0.0126 0.6934  1 B 1.40
O 0.2688 0.4874 0.1934  1 B 1.40
O 0.3912 0.2502 0.4224  1 B 1.40
O 0.3912 0.2498 0.9224  1 B 1.40
O 0.6088 0.7502 0.0776  1 B 1.40
O 0.6088 0.7498 0.5776  1 B 1.40
O 0.7312 0.5126 0.8066  1 B 1.40
O 0.7312 0.9874 0.3066  1 B 1.40
O 0.9434 0.1280 0.7862  1 B 1.36
O 0.9434 0.3720 0.2862  1 B 1.36

M_tot = 20.00 μB/cell



(ii)
Below is crystalline LiMnBO3 at its relaxed geometry, with properties calculated at the PBE+U level.

Cell: 5.7322 7.6842 7.5315 Å, 90.00 122.44 90.00°
With the nearest neighbours (Å) after each atom.
Fractional positions:
Li 0.1472 0.2178 0.2410  4 O 1.94-2.12
Li 0.1472 0.2822 0.7410  4 O 1.94-2.12
Li 0.8528 0.7178 0.2590  4 O 1.94-2.12
Li 0.8528 0.7822 0.7590  4 O 1.94-2.12
Mn 0.3227 0.5176 0.0988  5 O 2.12-2.36
Mn 0.3227 0.9824 0.5988  5 O 2.12-2.36
Mn 0.6773 0.0176 0.4012  5 O 2.12-2.36
Mn 0.6773 0.4824 0.9012  5 O 2.12-2.36
B 0.2411 0.6699 0.6762  3 O 1.38-1.40
B 0.2411 0.8301 0.1762  3 O 1.38-1.40
B 0.7589 0.1699 0.8238  3 O 1.38-1.40
B 0.7589 0.3301 0.3238  3 O 1.38-1.40
O 0.0303 0.7073 0.0737  1 B 1.40
O 0.0303 0.7927 0.5737  1 B 1.40
O 0.2252 0.5302 0.7852  1 B 1.38
O 0.2252 0.9698 0.2852  1 B 1.38
O 0.4838 0.6931 0.6796  1 B 1.39
O 0.4838 0.8069 0.1796  1 B 1.39
O 0.5162 0.1931 0.8204  1 B 1.39
O 0.5162 0.3069 0.3204  1 B 1.39
O 0.7748 0.0302 0.7148  1 B 1.38
O 0.7748 0.4698 0.2148  1 B 1.38
O 0.9697 0.2073 0.4263  1 B 1.40
O 0.9697 0.2927 0.9263  1 B 1.40

M_tot = 0.00 μB/cell



Energy relative to the most stable one, in eV/atom: (i) 0.000; (ii) 0.037